a) Li2CuSiO4: optimized geometry, PBE.

Results
Space-group type ... Pna2_1, No. 33
Mass density ... 3.3 g/cm3
Size of the total moment ... 1.00 μB per formula unit

a = 5.0482 Å, b = 6.1539 Å, c = 10.8454 Å
α = 90.00°, β = 90.00°, γ = 90.00°
Closest atoms and distances in Å follow each position.
Fractional coordinates of all 32 atoms:
O 0.0905 0.5037 0.6649  1 Si 1.65
Li 0.2601 0.5022 0.8271  4 O 1.96-2.02
Si 0.2640 0.4946 0.3371  4 O 1.65-1.66
O 0.5905 0.4963 0.3351  1 Si 1.65
Si 0.2640 0.0054 0.8371  4 O 1.65-1.66
O 0.6602 0.2848 0.5903  1 Si 1.65
Li 0.7595 0.7457 0.4142  4 O 1.95-2.03
O 0.6588 0.7283 0.5928  1 Si 1.66
O 0.1588 0.2283 0.9072  1 Si 1.66
O 0.5905 0.0037 0.8351  1 Si 1.65
O 0.1602 0.7848 0.9097  1 Si 1.65
O 0.0905 0.9963 0.1649  1 Si 1.65
Li 0.2595 0.2457 0.0858  4 O 1.95-2.03
O 0.6580 0.4963 0.8071  1 Si 1.65
O 0.6602 0.2152 0.0903  1 Si 1.65
Li 0.7601 0.0022 0.6729  4 O 1.96-2.02
Si 0.7640 0.9946 0.1629  4 O 1.65-1.66
Cu 0.7522 0.2566 0.9173  4 O 1.95-2.06
O 0.1580 0.9963 0.6929  1 Si 1.65
Li 0.2601 0.9978 0.3271  4 O 1.96-2.02
Cu 0.2522 0.7566 0.5827  4 O 1.95-2.06
O 0.1602 0.7152 0.4097  1 Si 1.65
O 0.6588 0.7717 0.0928  1 Si 1.66
Li 0.7595 0.7543 0.9142  4 O 1.95-2.03
Cu 0.7522 0.2434 0.4173  4 O 1.95-2.06
O 0.1588 0.2717 0.4072  1 Si 1.66
Li 0.7601 0.4978 0.1729  4 O 1.96-2.02
O 0.1580 0.5037 0.1929  1 Si 1.65
O 0.6580 0.0037 0.3071  1 Si 1.65
Si 0.7640 0.5054 0.6629  4 O 1.65-1.66
Cu 0.2522 0.7434 0.0827  4 O 1.95-2.06
Li 0.2595 0.2543 0.5858  4 O 1.95-2.03


b) Li2CuSiO4: optimized geometry, PBE.

Results
Space-group type ... P2_1/c, No. 14
Mass density ... 3.1 g/cm3
Size of the total moment ... 1.00 μB per formula unit

a = 5.1471 Å, b = 6.8946 Å, c = 10.0951 Å
α = 89.81°, β = 90.00°, γ = 90.00°
Closest atoms and distances in Å follow each position.
Fractional coordinates of all 32 atoms:
O 0.7882 0.2511 0.0610  1 Si 1.66
O 0.9343 0.7476 0.6399  1 Si 1.67
Si 0.7489 0.2415 0.8983  4 O 1.61-1.68
Li 0.7563 0.9964 0.1558  4 O 1.98-2.00
Li 0.6211 0.7606 0.3421  3 O 1.94-2.06
O 0.3622 0.9586 0.6606  1 Si 1.61
Cu 0.7738 0.5010 0.6337  3 O 1.89-2.05
O 0.7118 0.2511 0.5610  1 Si 1.66
Si 0.2511 0.7585 0.1017  4 O 1.61-1.68
Cu 0.2262 0.4990 0.3663  3 O 1.89-2.05
Li 0.3789 0.2394 0.6579  3 O 1.94-2.06
O 0.6378 0.0414 0.3394  1 Si 1.61
O 0.2118 0.7489 0.9390  1 Si 1.66
Si 0.2489 0.7585 0.6017  4 O 1.61-1.68
Si 0.7511 0.2415 0.3983  4 O 1.61-1.68
Li 0.8789 0.7606 0.8421  3 O 1.94-2.06
O 0.1378 0.9586 0.1606  1 Si 1.61
O 0.2882 0.7489 0.4390  1 Si 1.66
Cu 0.2738 0.4990 0.8663  3 O 1.89-2.05
Li 0.2563 0.0036 0.3442  4 O 1.98-2.00
Li 0.2437 0.0036 0.8442  4 O 1.98-2.00
Li 0.7437 0.9964 0.6558  4 O 1.98-2.00
Cu 0.7262 0.5010 0.1337  3 O 1.89-2.05
O 0.4343 0.2524 0.8601  1 Si 1.67
O 0.3889 0.5597 0.6671  1 Si 1.68
O 0.0657 0.2524 0.3601  1 Si 1.67
O 0.8622 0.0414 0.8394  1 Si 1.61
Li 0.1211 0.2394 0.1579  3 O 1.94-2.06
O 0.5657 0.7476 0.1399  1 Si 1.67
O 0.6111 0.4403 0.3329  1 Si 1.68
O 0.8889 0.4403 0.8329  1 Si 1.68
O 0.1111 0.5597 0.1671  1 Si 1.68


Preferred: a); penalty for the next structure: 3.8 kJ/mol of atoms.